Entry 1:
DFT (GGA+U) results for a geometry-optimized FeOF structure.

## Properties
E_tot, eV per atom: -5.98
ΔE_f, kcal/mol of atoms: -46.2

Cell and atoms, written as CIF:
```
data_FeOF
_cell_length_a 4.676
_cell_length_b 5.628
_cell_length_c 7.888
_cell_angle_alpha 85.45
_cell_angle_beta 88.72
_cell_angle_gamma 88.26
_space_group_name_H-M_alt 'P -1'
_space_group_IT_number 2
loop_
_space_group_symop_operation_xyz
'x,y,z'
'-x,-y,-z'
loop_
_atom_site_label
_atom_site_fract_x
_atom_site_fract_y
_atom_site_fract_z
Fe1 0.000 0.000 0.000
Fe2 0.023 0.342 0.690
Fe3 0.476 0.176 0.355
Fe4 0.500 0.500 0.000
O1 0.194 0.288 0.911
O2 0.298 0.126 0.576
O3 0.309 0.465 0.235
F1 0.192 0.631 0.561
F2 0.203 0.965 0.226
F3 0.298 0.799 0.888
```

***

Entry 2:
DFT (GGA+U) results for a geometry-optimized KCr20O40 structure.

## Properties
E_tot, eV per atom: -7.35
ΔE_f, kcal/mol of atoms: -46.8

Cell and atoms, written as CIF:
```
data_KCr20O40
_cell_length_a 9.953
_cell_length_b 9.953
_cell_length_c 14.977
_cell_angle_alpha 90.00
_cell_angle_beta 90.00
_cell_angle_gamma 90.00
_space_group_name_H-M_alt 'I 4/m'
_space_group_IT_number 87
_space_group_name_Hall '-I 4'
loop_
_atom_site_label
_atom_site_fract_x
_atom_site_fract_y
_atom_site_fract_z
K1 0.000 0.000 0.000
Cr1 0.153 0.335 0.200
Cr2 0.153 0.335 0.400
Cr3 0.155 0.337 0.000
O1 0.037 0.662 0.200
O2 0.037 0.662 0.400
O3 0.037 0.663 0.000
O4 0.157 0.205 0.099
O5 0.159 0.207 0.500
O6 0.160 0.207 0.300
```

***

Entry 3:
DFT (GGA+U) results for a geometry-optimized Na2LiMnPCO7 structure.

## Properties
E_tot, eV per atom: -6.72
ΔE_f, kcal/mol of atoms: -54.8
Energy above the lowest structure with this stoichiometry, eV/atom: 0.006

Cell and atoms, written as CIF:
```
data_Na2LiMnPCO7
_cell_length_a 6.823
_cell_length_b 8.859
_cell_length_c 10.222
_cell_angle_alpha 91.04
_cell_angle_beta 90.01
_cell_angle_gamma 90.34
_space_group_name_H-M_alt 'P 1'
_space_group_IT_number 1
loop_
_space_group_symop_operation_xyz
'x,y,z'
loop_
_atom_site_label
_atom_site_fract_x
_atom_site_fract_y
_atom_site_fract_z
Na1 0.000 0.000 0.000
Na2 0.000 0.002 0.502
Na3 0.250 0.174 0.255
Na4 0.499 0.002 0.502
Na5 0.500 0.000 0.999
Na6 0.500 0.513 0.751
Na7 0.502 0.515 0.253
Na8 0.998 0.514 0.252
Li1 0.241 0.178 0.752
Li2 0.754 0.350 0.999
Li3 0.758 0.348 0.504
Li4 0.979 0.526 0.759
Mn1 0.246 0.614 0.984
Mn2 0.247 0.615 0.491
Mn3 0.749 0.899 0.762
Mn4 0.750 0.894 0.265
P1 0.245 0.851 0.728
P2 0.250 0.846 0.230
P3 0.749 0.662 0.019
P4 0.753 0.660 0.526
C1 0.248 0.316 0.517
C2 0.249 0.309 0.004
C3 0.750 0.206 0.241
C4 0.759 0.213 0.744
O1 0.067 0.939 0.272
O2 0.068 0.952 0.768
O3 0.233 0.690 0.786
O4 0.243 0.409 0.617
O5 0.246 0.405 0.103
O6 0.248 0.832 0.576
O7 0.249 0.370 0.400
O8 0.249 0.827 0.077
O9 0.250 0.359 0.886
O10 0.251 0.166 0.026
O11 0.251 0.172 0.537
O12 0.251 0.687 0.290
O13 0.432 0.940 0.771
O14 0.434 0.940 0.271
O15 0.564 0.567 0.980
O16 0.568 0.565 0.490
O17 0.748 0.112 0.650
O18 0.748 0.346 0.207
O19 0.749 0.821 0.466
O20 0.750 0.822 0.960
O21 0.751 0.101 0.150
O22 0.751 0.169 0.364
O23 0.751 0.172 0.865
O24 0.754 0.683 0.171
O25 0.767 0.681 0.678
O26 0.775 0.355 0.713
O27 0.927 0.565 0.973
O28 0.930 0.565 0.478
```

***

Entry 4:
DFT (GGA+U) results for a geometry-optimized Li9Fe2O8 structure.

## Properties
E_tot, eV per atom: -5.26
ΔE_f, kcal/mol of atoms: -44.1
Energy above the lowest structure with this stoichiometry, eV/atom: 0.012

Cell and atoms, written as CIF:
```
data_Li9Fe2O8
_cell_length_a 9.190
_cell_length_b 9.132
_cell_length_c 4.695
_cell_angle_alpha 90.00
_cell_angle_beta 90.40
_cell_angle_gamma 90.00
_space_group_name_H-M_alt 'C 1 2 1'
_space_group_IT_number 5
loop_
_space_group_symop_operation_xyz
'x,y,z'
'-x,y,-z'
'x+1/2,y+1/2,z'
'-x+1/2,y+1/2,-z'
loop_
_atom_site_label
_atom_site_fract_x
_atom_site_fract_y
_atom_site_fract_z
Li1 0.000 0.000 0.000
Li2 0.000 0.081 0.500
Li3 0.000 0.584 0.000
Li4 0.210 0.304 0.504
Li5 0.230 0.552 0.573
Li6 0.248 0.049 0.938
Fe1 0.000 0.299 0.000
Fe2 0.000 0.796 0.500
O1 0.118 0.161 0.212
O2 0.125 0.430 0.813
O3 0.128 0.931 0.672
O4 0.129 0.679 0.311
```

***

Entry 5:
DFT (GGA+U) results for a geometry-optimized Ba2LiNi2O4 structure.

## Properties
E_tot, eV per atom: -4.90
ΔE_f, kcal/mol of atoms: -38.1
Energy above the lowest structure with this stoichiometry, eV/atom: 0.072

Cell and atoms, written as CIF:
```
data_Ba2LiNi2O4
_cell_length_a 5.049
_cell_length_b 5.968
_cell_length_c 9.175
_cell_angle_alpha 90.00
_cell_angle_beta 90.00
_cell_angle_gamma 90.00
_space_group_name_H-M_alt 'A m m 2'
_space_group_IT_number 38
loop_
_space_group_symop_operation_xyz
'x,y,z'
'-x,-y,z'
'-x,y,z'
'x,-y,z'
'x,y+1/2,z+1/2'
'-x,-y+1/2,z+1/2'
'-x,y+1/2,z+1/2'
'x,-y+1/2,z+1/2'
loop_
_atom_site_label
_atom_site_fract_x
_atom_site_fract_y
_atom_site_fract_z
Ba1 0.000 0.000 0.000
Ba2 0.500 0.000 0.284
Li1 0.000 0.000 0.372
Ni1 0.241 0.000 0.645
O1 0.000 0.241 0.755
O2 0.500 0.224 0.559
```

***

Entry 6:
DFT (GGA+U) results for a geometry-optimized Sr3TaCoO7 structure.

## Properties
E_tot, eV per atom: -7.27
ΔE_f, kcal/mol of atoms: -67.3
Energy above the lowest structure with this stoichiometry, eV/atom: 0.015

Cell and atoms, written as CIF:
```
data_Sr3TaCoO7
_cell_length_a 5.600
_cell_length_b 5.600
_cell_length_c 42.933
_cell_angle_alpha 90.00
_cell_angle_beta 90.00
_cell_angle_gamma 90.00
_space_group_name_H-M_alt 'I 41 c d'
_space_group_IT_number 110
_space_group_name_Hall 'I 4bw -2c'
loop_
_atom_site_label
_atom_site_fract_x
_atom_site_fract_y
_atom_site_fract_z
Sr1 0.000 0.000 0.000
Sr2 0.000 0.000 0.082
Sr3 0.000 0.000 0.187
Ta1 0.000 0.000 0.390
Co1 0.000 0.000 0.289
O1 0.000 0.000 0.242
O2 0.000 0.000 0.345
O3 0.000 0.000 0.438
O4 0.237 0.237 0.293
O5 0.250 0.250 0.142
```

***

Entry 7:
DFT (GGA+U) results for a geometry-optimized NaZr2CoF11 structure.

## Properties
E_tot, eV per atom: -6.24
ΔE_f, kcal/mol of atoms: -82.7

Cell and atoms, written as CIF:
```
data_NaZr2CoF11
_cell_length_a 9.267
_cell_length_b 6.817
_cell_length_c 7.904
_cell_angle_alpha 90.00
_cell_angle_beta 116.16
_cell_angle_gamma 90.00
_space_group_name_H-M_alt 'C 1 2/m 1'
_space_group_IT_number 12
loop_
_space_group_symop_operation_xyz
'x,y,z'
'-x,-y,-z'
'-x,y,-z'
'x,-y,z'
'x+1/2,y+1/2,z'
'-x+1/2,-y+1/2,-z'
'-x+1/2,y+1/2,-z'
'x+1/2,-y+1/2,z'
loop_
_atom_site_label
_atom_site_fract_x
_atom_site_fract_y
_atom_site_fract_z
Na1 0.000 0.000 0.000
Zr1 0.006 0.500 0.236
Co1 0.000 0.000 0.500
F1 0.000 0.329 0.000
F2 0.000 0.500 0.500
F3 0.015 0.205 0.312
F4 0.232 0.500 0.890
F5 0.247 0.000 0.648
```

***

Entry 8:
DFT (GGA+U) results for a geometry-optimized V2Cu3H24O12F12 structure.

## Properties
E_tot, eV per atom: -5.00
ΔE_f, kcal/mol of atoms: -38.3

Cell and atoms, written as CIF:
```
data_V2Cu3H24O12F12
_cell_length_a 7.609
_cell_length_b 7.613
_cell_length_c 8.296
_cell_angle_alpha 91.77
_cell_angle_beta 90.10
_cell_angle_gamma 94.20
_space_group_name_H-M_alt 'P -1'
_space_group_IT_number 2
loop_
_space_group_symop_operation_xyz
'x,y,z'
'-x,-y,-z'
loop_
_atom_site_label
_atom_site_fract_x
_atom_site_fract_y
_atom_site_fract_z
V1 0.000 0.000 0.000
V2 0.500 0.500 0.500
Cu1 0.000 0.000 0.500
Cu2 0.000 0.500 0.000
Cu3 0.500 0.000 0.000
H1 0.073 0.336 0.444
H2 0.111 0.295 0.784
H3 0.121 0.683 0.487
H4 0.213 0.488 0.762
H5 0.235 0.477 0.224
H6 0.245 0.052 0.302
H7 0.279 0.354 0.073
H8 0.283 0.963 0.779
H9 0.327 0.108 0.478
H10 0.391 0.671 0.072
H11 0.398 0.792 0.761
H12 0.492 0.237 0.787
O1 0.033 0.746 0.549
O2 0.098 0.426 0.789
O3 0.240 0.472 0.102
O4 0.244 0.021 0.418
O5 0.404 0.922 0.789
O6 0.492 0.758 0.093
F1 0.102 0.779 0.970
F2 0.108 0.081 0.788
F3 0.218 0.096 0.112
F4 0.250 0.492 0.411
F5 0.406 0.593 0.706
F6 0.450 0.265 0.584
```

***

Entry 9:
DFT (GGA+U) results for a geometry-optimized FeOF structure.

## Properties
E_tot, eV per atom: -6.04
ΔE_f, kcal/mol of atoms: -47.5

Cell and atoms, written as CIF:
```
data_FeOF
_cell_length_a 14.161
_cell_length_b 3.115
_cell_length_c 14.256
_cell_angle_alpha 90.00
_cell_angle_beta 90.07
_cell_angle_gamma 90.00
_space_group_name_H-M_alt 'P 1 m 1'
_space_group_IT_number 6
loop_
_space_group_symop_operation_xyz
'x,y,z'
'x,-y,z'
loop_
_atom_site_label
_atom_site_fract_x
_atom_site_fract_y
_atom_site_fract_z
Fe1 0.000 0.000 0.000
Fe2 0.000 0.000 0.334
Fe3 0.002 0.000 0.664
Fe4 0.139 0.500 0.832
Fe5 0.140 0.500 0.168
Fe6 0.144 0.500 0.497
Fe7 0.312 0.000 0.354
Fe8 0.331 0.000 0.999
Fe9 0.332 0.000 0.666
Fe10 0.473 0.500 0.499
Fe11 0.473 0.500 0.833
Fe12 0.476 0.500 0.164
Fe13 0.666 0.000 0.666
Fe14 0.667 0.000 0.335
Fe15 0.669 0.000 0.997
Fe16 0.807 0.500 0.167
Fe17 0.808 0.500 0.500
Fe18 0.810 0.500 0.831
O1 0.051 0.500 0.938
O2 0.052 0.500 0.272
O3 0.053 0.500 0.603
O4 0.085 0.000 0.439
O5 0.088 0.000 0.105
O6 0.089 0.000 0.770
O7 0.252 0.500 0.405
O8 0.385 0.500 0.604
O9 0.386 0.500 0.939
O10 0.420 0.000 0.107
O11 0.421 0.000 0.771
O12 0.423 0.000 0.435
O13 0.717 0.500 0.270
O14 0.718 0.500 0.604
O15 0.720 0.500 0.936
O16 0.755 0.000 0.104
O17 0.755 0.000 0.438
O18 0.755 0.000 0.771
F1 0.219 0.000 0.573
F2 0.219 0.000 0.902
F3 0.222 0.000 0.232
F4 0.255 0.500 0.068
F5 0.255 0.500 0.736
F6 0.384 0.500 0.272
F7 0.548 0.000 0.236
F8 0.552 0.000 0.568
F9 0.552 0.000 0.902
F10 0.587 0.500 0.069
F11 0.587 0.500 0.736
F12 0.588 0.500 0.402
F13 0.885 0.000 0.235
F14 0.885 0.000 0.568
F15 0.886 0.000 0.901
F16 0.920 0.500 0.402
F17 0.921 0.500 0.069
F18 0.922 0.500 0.734
```

***

Entry 10:
DFT (GGA+U) results for a geometry-optimized Mn2ZnO4 structure.

## Properties
E_tot, eV per atom: -6.65
ΔE_f, kcal/mol of atoms: -43.6
Energy above the lowest structure with this stoichiometry, eV/atom: 0.090

Cell and atoms, written as CIF:
```
data_Mn2ZnO4
_cell_length_a 10.545
_cell_length_b 6.053
_cell_length_c 14.866
_cell_angle_alpha 90.00
_cell_angle_beta 90.90
_cell_angle_gamma 90.00
_space_group_name_H-M_alt 'C 1 m 1'
_space_group_IT_number 8
loop_
_space_group_symop_operation_xyz
'x,y,z'
'x,-y,z'
'x+1/2,y+1/2,z'
'x+1/2,-y+1/2,z'
loop_
_atom_site_label
_atom_site_fract_x
_atom_site_fract_y
_atom_site_fract_z
Mn1 0.000 0.000 0.000
Mn2 0.007 0.000 0.622
Mn3 0.015 0.000 0.244
Mn4 0.092 0.250 0.456
Mn5 0.182 0.500 0.911
Mn6 0.257 0.251 0.122
Mn7 0.333 0.000 0.332
Mn8 0.347 0.000 0.579
Mn9 0.423 0.249 0.788
Zn1 0.007 0.500 0.122
Zn2 0.165 0.500 0.665
Zn3 0.172 0.500 0.289
Zn4 0.174 0.000 0.790
Zn5 0.340 0.500 0.454
Zn6 0.342 0.000 0.955
O1 0.001 0.500 0.860
O2 0.014 0.500 0.384
O3 0.018 0.000 0.384
O4 0.072 0.229 0.707
O5 0.108 0.266 0.197
O6 0.163 0.000 0.534
O7 0.165 0.500 0.529
O8 0.184 0.000 0.049
O9 0.185 0.500 0.049
O10 0.241 0.264 0.382
O11 0.274 0.236 0.862
O12 0.330 0.000 0.194
O13 0.330 0.500 0.194
O14 0.348 0.500 0.709
O15 0.351 0.000 0.717
O16 0.407 0.234 0.047
O17 0.444 0.274 0.537
O18 0.497 0.500 0.859
```

***

What did the sixth record say?
DFT (GGA+U) results for a geometry-optimized Sr3TaCoO7 structure.

## Properties
E_tot, eV per atom: -7.27
ΔE_f, kcal/mol of atoms: -67.3
Energy above the lowest structure with this stoichiometry, eV/atom: 0.015

Cell and atoms, written as CIF:
```
data_Sr3TaCoO7
_cell_length_a 5.600
_cell_length_b 5.600
_cell_length_c 42.933
_cell_angle_alpha 90.00
_cell_angle_beta 90.00
_cell_angle_gamma 90.00
_space_group_name_H-M_alt 'I 41 c d'
_space_group_IT_number 110
_space_group_name_Hall 'I 4bw -2c'
loop_
_atom_site_label
_atom_site_fract_x
_atom_site_fract_y
_atom_site_fract_z
Sr1 0.000 0.000 0.000
Sr2 0.000 0.000 0.082
Sr3 0.000 0.000 0.187
Ta1 0.000 0.000 0.390
Co1 0.000 0.000 0.289
O1 0.000 0.000 0.242
O2 0.000 0.000 0.345
O3 0.000 0.000 0.438
O4 0.237 0.237 0.293
O5 0.250 0.250 0.142
```

***

Which formula does entry 1 have?
FeOF

***

E_tot of number 7 (NaZr2CoF11)?
-6.24 eV per atom

***

Number 2 is which compound?
KCr20O40